Ca3Cr2N4 | GGA-PBE | optimized geometry

Cell and atoms, written as CIF:
```
data_Ca3Cr2N4
_chemical_formula_sum 'Ca6 Cr4 N8'
_space_group_name_H-M_alt 'P 1'
_space_group_IT_number 1
_cell_length_a 6.7922
_cell_length_b 6.7922
_cell_length_c 5.4016
_cell_angle_alpha 92.18
_cell_angle_beta 92.18
_cell_angle_gamma 75.16
loop_
_space_group_symop_operation_xyz
'x,y,z'
loop_
_atom_site_label
_atom_site_type_symbol
_atom_site_fract_x
_atom_site_fract_y
_atom_site_fract_z
Ca1 Ca 0.1000 0.9000 0.7500
Ca2 Ca 0.2493 0.5152 0.4589
Ca3 Ca 0.4848 0.7507 0.0411
Ca4 Ca 0.5152 0.2493 0.9589
Ca5 Ca 0.7507 0.4848 0.5411
Ca6 Ca 0.9000 0.1000 0.2500
Cr1 Cr 0.0802 0.3296 0.9163
Cr2 Cr 0.3296 0.0802 0.4163
Cr3 Cr 0.6704 0.9198 0.5837
Cr4 Cr 0.9198 0.6704 0.0837
N1 N 0.0970 0.2331 0.5882
N2 N 0.2016 0.5547 0.9746
N3 N 0.2331 0.0970 0.0882
N4 N 0.4453 0.7984 0.5254
N5 N 0.5547 0.2016 0.4746
N6 N 0.7669 0.9030 0.9118
N7 N 0.7984 0.4453 0.0254
N8 N 0.9030 0.7669 0.4118
```

Values from the calculation:
The value obtained for the formation energy from the elements is -8.04 eV per formula unit. The calculation puts the final energy at -7.251 eV/atom. The value obtained for the excess energy over the best structure of this formula in the dataset is 0.095 eV/atom.

HoAl3Pb2O8 | GGA-PBE | optimized geometry

Cell and atoms, written as CIF:
```
data_HoAl3Pb2O8
_chemical_formula_sum 'Ho4 Al12 Pb8 O32'
_space_group_name_H-M_alt 'P 1'
_space_group_IT_number 1
_cell_length_a 9.5280
_cell_length_b 9.5280
_cell_length_c 9.5280
_cell_angle_alpha 90.00
_cell_angle_beta 90.00
_cell_angle_gamma 90.00
loop_
_space_group_symop_operation_xyz
'x,y,z'
loop_
_atom_site_label
_atom_site_type_symbol
_atom_site_fract_x
_atom_site_fract_y
_atom_site_fract_z
Ho1 Ho 0.0000 0.0000 0.0000
Ho2 Ho 0.0000 0.5000 0.5000
Ho3 Ho 0.5000 0.0000 0.5000
Ho4 Ho 0.5000 0.5000 0.0000
Al1 Al 0.0000 0.2500 0.7500
Al2 Al 0.0000 0.7500 0.2500
Al3 Al 0.2500 0.0000 0.7500
Al4 Al 0.2500 0.5000 0.7500
Al5 Al 0.2500 0.7500 0.0000
Al6 Al 0.2500 0.7500 0.5000
Al7 Al 0.5000 0.2500 0.7500
Al8 Al 0.5000 0.7500 0.2500
Al9 Al 0.7500 0.0000 0.2500
Al10 Al 0.7500 0.2500 0.0000
Al11 Al 0.7500 0.2500 0.5000
Al12 Al 0.7500 0.5000 0.2500
Pb1 Pb 0.1161 0.1161 0.3839
Pb2 Pb 0.1161 0.3839 0.1161
Pb3 Pb 0.3839 0.1161 0.1161
Pb4 Pb 0.3839 0.3839 0.3839
Pb5 Pb 0.6161 0.6161 0.6161
Pb6 Pb 0.6161 0.8839 0.8839
Pb7 Pb 0.8839 0.6161 0.8839
Pb8 Pb 0.8839 0.8839 0.6161
O1 O 0.0910 0.0910 0.7654
O2 O 0.0910 0.4090 0.7346
O3 O 0.0910 0.7346 0.4090
O4 O 0.0910 0.7654 0.0910
O5 O 0.1367 0.1367 0.1367
O6 O 0.1367 0.3633 0.3633
O7 O 0.2346 0.5910 0.5910
O8 O 0.2346 0.9090 0.9090
O9 O 0.2654 0.5910 0.9090
O10 O 0.2654 0.9090 0.5910
O11 O 0.3633 0.1367 0.3633
O12 O 0.3633 0.3633 0.1367
O13 O 0.4090 0.0910 0.7346
O14 O 0.4090 0.4090 0.7654
O15 O 0.4090 0.7346 0.0910
O16 O 0.4090 0.7654 0.4090
O17 O 0.5910 0.2346 0.5910
O18 O 0.5910 0.2654 0.9090
O19 O 0.5910 0.5910 0.2346
O20 O 0.5910 0.9090 0.2654
O21 O 0.6367 0.6367 0.8633
O22 O 0.6367 0.8633 0.6367
O23 O 0.7346 0.0910 0.4090
O24 O 0.7346 0.4090 0.0910
O25 O 0.7654 0.0910 0.0910
O26 O 0.7654 0.4090 0.4090
O27 O 0.8633 0.6367 0.6367
O28 O 0.8633 0.8633 0.8633
O29 O 0.9090 0.2346 0.9090
O30 O 0.9090 0.2654 0.5910
O31 O 0.9090 0.5910 0.2654
O32 O 0.9090 0.9090 0.2346
```

Values from the calculation:
The value obtained for the formation energy from the elements is -41.82 eV per formula unit. The calculation puts the final energy at -7.083 eV/atom.

AlSCl7 | GGA-PBE | optimized geometry

Cell and atoms, written as CIF:
```
data_AlSCl7
_chemical_formula_sum 'Al2 S2 Cl14'
_space_group_name_H-M_alt 'P 1'
_space_group_IT_number 1
_cell_length_a 6.5544
_cell_length_b 6.4525
_cell_length_c 13.6073
_cell_angle_alpha 90.00
_cell_angle_beta 102.87
_cell_angle_gamma 90.00
loop_
_space_group_symop_operation_xyz
'x,y,z'
loop_
_atom_site_label
_atom_site_type_symbol
_atom_site_fract_x
_atom_site_fract_y
_atom_site_fract_z
Al1 Al 0.0000 0.0096 0.0000
Al2 Al 0.0000 0.9904 0.5000
S1 S 0.3220 0.4255 0.1687
S2 S 0.3220 0.5745 0.6687
Cl1 Cl 0.2240 0.3802 0.7649
Cl2 Cl 0.2240 0.6198 0.2649
Cl3 Cl 0.3163 0.1011 0.9960
Cl4 Cl 0.3163 0.8989 0.4960
Cl5 Cl 0.4941 0.2201 0.2647
Cl6 Cl 0.4941 0.7799 0.7647
Cl7 Cl 0.5467 0.4096 0.6240
Cl8 Cl 0.5467 0.5904 0.1240
Cl9 Cl 0.7859 0.1395 0.8717
Cl10 Cl 0.7859 0.8605 0.3717
Cl11 Cl 0.9415 0.1255 0.1406
Cl12 Cl 0.9415 0.8745 0.6406
Cl13 Cl 0.9699 0.3239 0.4960
Cl14 Cl 0.9699 0.6761 0.9960
```

Values from the calculation:
The value obtained for the formation energy from the elements is -11.60 eV per formula unit. The calculation puts the final energy at -3.125 eV/atom.

Ho5Si3C | GGA-PBE | optimized geometry

Cell and atoms, written as CIF:
```
data_Ho5Si3C
_chemical_formula_sum 'Ho10 Si6 C2'
_space_group_name_H-M_alt 'P 1'
_space_group_IT_number 1
_cell_length_a 8.4375
_cell_length_b 8.4375
_cell_length_c 6.3331
_cell_angle_alpha 90.00
_cell_angle_beta 90.00
_cell_angle_gamma 120.00
loop_
_space_group_symop_operation_xyz
'x,y,z'
loop_
_atom_site_label
_atom_site_type_symbol
_atom_site_fract_x
_atom_site_fract_y
_atom_site_fract_z
Ho1 Ho 0.0000 0.2240 0.2500
Ho2 Ho 0.0000 0.7760 0.7500
Ho3 Ho 0.2240 0.0000 0.2500
Ho4 Ho 0.2240 0.2240 0.7500
Ho5 Ho 0.3333 0.6667 0.0000
Ho6 Ho 0.3333 0.6667 0.5000
Ho7 Ho 0.6667 0.3333 0.0000
Ho8 Ho 0.6667 0.3333 0.5000
Ho9 Ho 0.7760 0.0000 0.7500
Ho10 Ho 0.7760 0.7760 0.2500
Si1 Si 0.0000 0.4070 0.7500
Si2 Si 0.0000 0.5930 0.2500
Si3 Si 0.4070 0.0000 0.7500
Si4 Si 0.4070 0.4070 0.2500
Si5 Si 0.5930 0.0000 0.2500
Si6 Si 0.5930 0.5930 0.7500
C1 C 0.0000 0.0000 0.0000
C2 C 0.0000 0.0000 0.5000
```

Values from the calculation:
The value obtained for the formation energy from the elements is -5.55 eV per formula unit. The calculation puts the final energy at -5.996 eV/atom.

KNaCa3Mg10Si16O48 | GGA-PBE | optimized geometry

Cell and atoms, written as CIF:
```
data_KNaCa3Mg10Si16O48
_chemical_formula_sum 'K1 Na1 Ca3 Mg10 Si16 O48'
_space_group_name_H-M_alt 'P 1'
_space_group_IT_number 1
_cell_length_a 10.1591
_cell_length_b 10.5359
_cell_length_c 10.5638
_cell_angle_alpha 97.06
_cell_angle_beta 105.34
_cell_angle_gamma 114.58
loop_
_space_group_symop_operation_xyz
'x,y,z'
loop_
_atom_site_label
_atom_site_type_symbol
_atom_site_fract_x
_atom_site_fract_y
_atom_site_fract_z
K1 K 0.0000 0.0000 0.0000
Na1 Na 0.2114 0.4390 0.8650
Ca1 Ca 0.2062 0.4334 0.3672
Ca2 Ca 0.7681 0.5607 0.1489
Ca3 Ca 0.7744 0.5601 0.6452
Mg1 Mg 0.3068 0.6344 0.6701
Mg2 Mg 0.3090 0.6330 0.1614
Mg3 Mg 0.3892 0.7960 0.4575
Mg4 Mg 0.3897 0.7968 0.9568
Mg5 Mg 0.4881 0.9968 0.7579
Mg6 Mg 0.4927 0.9955 0.2614
Mg7 Mg 0.5888 0.1954 0.0557
Mg8 Mg 0.5900 0.1968 0.5582
Mg9 Mg 0.6685 0.3576 0.8462
Mg10 Mg 0.6695 0.3543 0.3459
Si1 Si 0.0292 0.6529 0.4299
Si2 Si 0.0318 0.6558 0.9297
Si3 Si 0.1302 0.8296 0.7233
Si4 Si 0.1327 0.8276 0.2269
Si5 Si 0.2976 0.1651 0.8077
Si6 Si 0.3022 0.1658 0.3112
Si7 Si 0.3730 0.3405 0.6019
Si8 Si 0.3737 0.3392 0.0990
Si9 Si 0.6044 0.6519 0.4104
Si10 Si 0.6074 0.6570 0.9126
Si11 Si 0.6768 0.8275 0.7013
Si12 Si 0.6822 0.8299 0.2060
Si13 Si 0.8466 0.1664 0.7854
Si14 Si 0.8491 0.1644 0.2903
Si15 Si 0.9474 0.3381 0.0827
Si16 Si 0.9499 0.3417 0.5848
O1 O 0.0094 0.7292 0.5678
O2 O 0.0133 0.7368 0.0679
O3 O 0.0312 0.7594 0.3219
O4 O 0.0316 0.7647 0.8234
O5 O 0.0990 0.4929 0.6636
O6 O 0.1031 0.4853 0.1658
O7 O 0.1604 0.9969 0.7384
O8 O 0.1650 0.9968 0.2402
O9 O 0.1927 0.6463 0.4704
O10 O 0.1958 0.6543 0.9750
O11 O 0.2661 0.2244 0.9429
O12 O 0.2700 0.2351 0.4401
O13 O 0.2761 0.2568 0.1978
O14 O 0.2783 0.2613 0.6995
O15 O 0.2892 0.8194 0.7575
O16 O 0.2915 0.8174 0.2602
O17 O 0.3665 0.4887 0.5915
O18 O 0.3738 0.4896 0.0963
O19 O 0.4243 0.9966 0.5332
O20 O 0.4247 0.9965 0.0314
O21 O 0.4345 0.6460 0.3666
O22 O 0.4416 0.6551 0.8671
O23 O 0.4680 0.1757 0.8470
O24 O 0.4705 0.1742 0.3494
O25 O 0.5083 0.8180 0.6642
O26 O 0.5130 0.8208 0.1670
O27 O 0.5441 0.3448 0.1458
O28 O 0.5448 0.3492 0.6462
O29 O 0.5551 0.9963 0.4795
O30 O 0.5548 0.9967 0.9756
O31 O 0.6121 0.5042 0.4199
O32 O 0.6165 0.5098 0.9225
O33 O 0.6867 0.1759 0.7538
O34 O 0.6882 0.1723 0.2543
O35 O 0.7008 0.7286 0.3108
O36 O 0.7074 0.7372 0.8150
O37 O 0.7085 0.7581 0.5716
O38 O 0.7156 0.7653 0.0735
O39 O 0.7837 0.3459 0.5406
O40 O 0.7853 0.3477 0.0423
O41 O 0.8130 0.9966 0.7712
O42 O 0.8195 0.9971 0.2764
O43 O 0.8743 0.5050 0.3453
O44 O 0.8757 0.5082 0.8470
O45 O 0.9421 0.2308 0.6869
O46 O 0.9456 0.2297 0.1892
O47 O 0.9599 0.2521 0.9460
O48 O 0.9688 0.2661 0.4446
```

Values from the calculation:
The value obtained for the formation energy from the elements is -238.82 eV per formula unit. The calculation puts the final energy at -7.155 eV/atom.

Cs4P2PdSe8 | GGA-PBE | optimized geometry

Cell and atoms, written as CIF:
```
data_Cs4P2PdSe8
_chemical_formula_sum 'Cs8 P4 Pd2 Se16'
_space_group_name_H-M_alt 'P 1'
_space_group_IT_number 1
_cell_length_a 7.7296
_cell_length_b 13.8843
_cell_length_c 10.3219
_cell_angle_alpha 90.00
_cell_angle_beta 93.46
_cell_angle_gamma 90.00
loop_
_space_group_symop_operation_xyz
'x,y,z'
loop_
_atom_site_label
_atom_site_type_symbol
_atom_site_fract_x
_atom_site_fract_y
_atom_site_fract_z
Cs1 Cs 0.1772 0.1307 0.1776
Cs2 Cs 0.1772 0.3693 0.6776
Cs3 Cs 0.2722 0.6544 0.9632
Cs4 Cs 0.2722 0.8456 0.4632
Cs5 Cs 0.7278 0.1544 0.5368
Cs6 Cs 0.7278 0.3456 0.0368
Cs7 Cs 0.8228 0.6307 0.3224
Cs8 Cs 0.8228 0.8693 0.8224
P1 P 0.2378 0.0799 0.7587
P2 P 0.2378 0.4201 0.2587
P3 P 0.7622 0.5799 0.7413
P4 P 0.7622 0.9201 0.2413
Pd1 Pd 0.5000 0.0000 0.0000
Pd2 Pd 0.5000 0.5000 0.5000
Se1 Se 0.0058 0.6258 0.6624
Se2 Se 0.0058 0.8742 0.1624
Se3 Se 0.2372 0.1056 0.5494
Se4 Se 0.2372 0.3944 0.0494
Se5 Se 0.3134 0.5723 0.3237
Se6 Se 0.3134 0.9277 0.8237
Se7 Se 0.4723 0.1465 0.8625
Se8 Se 0.4723 0.3535 0.3625
Se9 Se 0.5277 0.6465 0.6375
Se10 Se 0.5277 0.8535 0.1375
Se11 Se 0.6866 0.0723 0.1763
Se12 Se 0.6866 0.4277 0.6763
Se13 Se 0.7628 0.6056 0.9506
Se14 Se 0.7628 0.8944 0.4506
Se15 Se 0.9942 0.1258 0.8376
Se16 Se 0.9942 0.3742 0.3376
```

Values from the calculation:
The value obtained for the formation energy from the elements is -14.91 eV per formula unit. The calculation puts the final energy at -3.913 eV/atom.

LiAlSiH2O5 | GGA-PBE | optimized geometry

Cell and atoms, written as CIF:
```
data_LiAlSiH2O5
_chemical_formula_sum 'Li4 Al4 Si4 H8 O20'
_space_group_name_H-M_alt 'P 1'
_space_group_IT_number 1
_cell_length_a 10.6157
_cell_length_b 7.9991
_cell_length_c 5.1203
_cell_angle_alpha 90.00
_cell_angle_beta 90.00
_cell_angle_gamma 90.00
loop_
_space_group_symop_operation_xyz
'x,y,z'
loop_
_atom_site_label
_atom_site_type_symbol
_atom_site_fract_x
_atom_site_fract_y
_atom_site_fract_z
Li1 Li 0.1855 0.1576 0.0000
Li2 Li 0.3145 0.6576 0.5000
Li3 Li 0.6855 0.3424 0.0000
Li4 Li 0.8145 0.8424 0.5000
Al1 Al 0.1610 0.5667 0.9965
Al2 Al 0.3390 0.0667 0.4965
Al3 Al 0.6610 0.9333 0.9965
Al4 Al 0.8390 0.4333 0.4965
Si1 Si 0.1318 0.3534 0.4969
Si2 Si 0.3682 0.8534 0.9969
Si3 Si 0.6318 0.1466 0.4969
Si4 Si 0.8682 0.6466 0.9969
H1 H 0.0341 0.9605 0.5807
H2 H 0.0533 0.8895 0.0971
H3 H 0.4467 0.3895 0.5971
H4 H 0.4659 0.4605 0.0807
H5 H 0.5341 0.5395 0.5807
H6 H 0.5533 0.6105 0.0971
H7 H 0.9467 0.1105 0.5971
H8 H 0.9659 0.0395 0.0807
O1 O 0.0192 0.6773 0.0463
O2 O 0.0532 0.0126 0.1224
O3 O 0.1649 0.3799 0.1852
O4 O 0.1774 0.5196 0.6609
O5 O 0.2105 0.1903 0.6064
O6 O 0.2895 0.6903 0.1064
O7 O 0.3226 0.0196 0.1609
O8 O 0.3351 0.8799 0.6852
O9 O 0.4468 0.5126 0.6224
O10 O 0.4808 0.1773 0.5463
O11 O 0.5192 0.8227 0.0463
O12 O 0.5532 0.4874 0.1224
O13 O 0.6649 0.1201 0.1852
O14 O 0.6774 0.9804 0.6609
O15 O 0.7105 0.3097 0.6064
O16 O 0.7895 0.8097 0.1064
O17 O 0.8226 0.4804 0.1609
O18 O 0.8351 0.6201 0.6852
O19 O 0.9468 0.9874 0.6224
O20 O 0.9808 0.3227 0.5463
```

Values from the calculation:
The value obtained for the formation energy from the elements is -26.07 eV per formula unit. The calculation puts the final energy at -6.524 eV/atom. The value obtained for the excess energy over the best structure of this formula in the dataset is 0.011 eV/atom.

BaNaCuBrO2 | GGA-PBE | optimized geometry

Cell and atoms, written as CIF:
```
data_BaNaCuBrO2
_chemical_formula_sum 'Ba1 Na1 Cu1 Br1 O2'
_space_group_name_H-M_alt 'P 1'
_space_group_IT_number 1
_cell_length_a 3.9931
_cell_length_b 3.9931
_cell_length_c 7.3215
_cell_angle_alpha 90.00
_cell_angle_beta 90.00
_cell_angle_gamma 90.00
loop_
_space_group_symop_operation_xyz
'x,y,z'
loop_
_atom_site_label
_atom_site_type_symbol
_atom_site_fract_x
_atom_site_fract_y
_atom_site_fract_z
Ba1 Ba 0.0000 0.0000 0.0000
Na1 Na 0.0000 0.0000 0.5627
Cu1 Cu 0.5000 0.5000 0.7477
Br1 Br 0.5000 0.5000 0.2827
O1 O 0.0000 0.5000 0.7655
O2 O 0.5000 0.0000 0.7655
```

Values from the calculation:
The value obtained for the formation energy from the elements is -10.66 eV per formula unit. The calculation puts the final energy at -4.693 eV/atom.

LaCuPb | GGA-PBE | optimized geometry

Cell and atoms, written as CIF:
```
data_LaCuPb
_chemical_formula_sum 'La2 Cu2 Pb2'
_space_group_name_H-M_alt 'P 1'
_space_group_IT_number 1
_cell_length_a 4.7468
_cell_length_b 4.7468
_cell_length_c 7.9128
_cell_angle_alpha 90.00
_cell_angle_beta 90.00
_cell_angle_gamma 120.00
loop_
_space_group_symop_operation_xyz
'x,y,z'
loop_
_atom_site_label
_atom_site_type_symbol
_atom_site_fract_x
_atom_site_fract_y
_atom_site_fract_z
La1 La 0.0000 0.0000 0.0000
La2 La 0.0000 0.0000 0.5000
Cu1 Cu 0.3333 0.6667 0.3004
Cu2 Cu 0.6667 0.3333 0.8004
Pb1 Pb 0.3333 0.6667 0.7291
Pb2 Pb 0.6667 0.3333 0.2291
```

Values from the calculation:
The value obtained for the formation energy from the elements is -1.27 eV per formula unit. The calculation puts the final energy at -4.674 eV/atom.

Tm5Ge4 | GGA-PBE | optimized geometry

Cell and atoms, written as CIF:
```
data_Tm5Ge4
_chemical_formula_sum 'Tm20 Ge16'
_space_group_name_H-M_alt 'P 1'
_space_group_IT_number 1
_cell_length_a 7.5006
_cell_length_b 14.4934
_cell_length_c 7.6261
_cell_angle_alpha 90.00
_cell_angle_beta 90.00
_cell_angle_gamma 90.00
loop_
_space_group_symop_operation_xyz
'x,y,z'
loop_
_atom_site_label
_atom_site_type_symbol
_atom_site_fract_x
_atom_site_fract_y
_atom_site_fract_z
Tm1 Tm 0.0174 0.0964 0.1825
Tm2 Tm 0.0174 0.4036 0.1825
Tm3 Tm 0.1316 0.6197 0.3386
Tm4 Tm 0.1316 0.8803 0.3386
Tm5 Tm 0.2052 0.2500 0.4993
Tm6 Tm 0.2948 0.7500 0.9993
Tm7 Tm 0.3684 0.1197 0.8386
Tm8 Tm 0.3684 0.3803 0.8386
Tm9 Tm 0.4826 0.5964 0.6825
Tm10 Tm 0.4826 0.9036 0.6825
Tm11 Tm 0.5174 0.0964 0.3175
Tm12 Tm 0.5174 0.4036 0.3175
Tm13 Tm 0.6316 0.6197 0.1614
Tm14 Tm 0.6316 0.8803 0.1614
Tm15 Tm 0.7052 0.2500 0.0007
Tm16 Tm 0.7948 0.7500 0.5007
Tm17 Tm 0.8684 0.1197 0.6614
Tm18 Tm 0.8684 0.3803 0.6614
Tm19 Tm 0.9826 0.5964 0.8175
Tm20 Tm 0.9826 0.9036 0.8175
Ge1 Ge 0.0717 0.2500 0.8823
Ge2 Ge 0.1741 0.7500 0.6409
Ge3 Ge 0.2119 0.0434 0.5358
Ge4 Ge 0.2119 0.4566 0.5358
Ge5 Ge 0.2881 0.5434 0.0358
Ge6 Ge 0.2881 0.9566 0.0358
Ge7 Ge 0.3259 0.2500 0.1409
Ge8 Ge 0.4283 0.7500 0.3823
Ge9 Ge 0.5717 0.2500 0.6177
Ge10 Ge 0.6741 0.7500 0.8591
Ge11 Ge 0.7119 0.0434 0.9642
Ge12 Ge 0.7119 0.4566 0.9642
Ge13 Ge 0.7881 0.5434 0.4642
Ge14 Ge 0.7881 0.9566 0.4642
Ge15 Ge 0.8259 0.2500 0.3591
Ge16 Ge 0.9283 0.7500 0.1177
```

Values from the calculation:
The value obtained for the formation energy from the elements is -7.57 eV per formula unit. The calculation puts the final energy at -5.382 eV/atom.